## Sr2Ca6Mn7FeO20 (PBE with a Hubbard U)

Data for a relaxed structure of Sr2Ca6Mn7FeO20.

Results
V (Å³ per atom): 13.1
Raw total energy (eV/atom): -6.953
Energy relative to the elements (meV per atom): -2528

```
Sr2Ca6Mn7FeO20
1.0
2.2101 -7.4716 7.7193
-3.5344 -8.0795 -6.8414
14.9813 6.2118 -6.0115
Sr Ca Mn Fe O
8 24 28 4 80
direct
0.3083 0.5605 0.6095
0.8068 0.0600 0.6095
0.1991 0.4407 0.8918
0.0578 0.2979 0.6084
0.0586 0.8003 0.6095
0.5589 0.2994 0.6104
0.4489 0.2006 0.8898
0.9457 0.1999 0.3867
0.3058 0.0645 0.1087
0.3075 0.0597 0.6038
0.3057 0.5656 0.1092
0.8036 0.0621 0.1052
0.8068 0.5633 0.1080
0.8069 0.5616 0.6060
0.1990 0.4366 0.3922
0.1994 0.9353 0.3915
0.1992 0.9384 0.8957
0.6986 0.4368 0.3925
0.7013 0.4373 0.8952
0.6989 0.9355 0.3921
0.6995 0.9367 0.8935
0.0576 0.2937 0.1088
0.0562 0.7928 0.1079
0.5580 0.2939 0.1092
0.5565 0.7933 0.1080
0.5577 0.7942 0.6057
0.4505 0.2057 0.3917
0.4490 0.7065 0.3926
0.4510 0.7083 0.8951
0.9508 0.2072 0.8946
0.9494 0.7050 0.3917
0.9483 0.7074 0.8942
0.0044 0.9981 0.4976
0.0029 0.5002 0.4970
0.5041 0.9987 0.4976
0.5073 0.5011 0.0021
0.5044 0.4993 0.4972
0.2568 0.2515 0.0029
0.2544 0.2472 0.4968
0.2565 0.7527 0.0019
0.2550 0.7499 0.4969
0.7573 0.2508 0.0010
0.7529 0.2501 0.4979
0.7528 0.7475 0.4967
0.1117 0.0941 0.2474
0.1117 0.0928 0.7529
0.1108 0.5961 0.2501
0.1082 0.6010 0.7513
0.6076 0.0961 0.2498
0.6110 0.0925 0.7493
0.6084 0.5949 0.2496
0.6152 0.6033 0.7528
0.3579 0.4053 0.2507
0.3674 0.4062 0.7517
0.3587 0.9033 0.2501
0.3647 0.9016 0.7498
0.8571 0.4067 0.2482
0.8609 0.4074 0.7525
0.8579 0.8991 0.2476
0.8584 0.8994 0.7515
0.0058 0.0002 0.0006
0.0064 0.5008 0.0022
0.5068 0.0014 0.0029
0.7557 0.7496 0.0009
0.1273 0.1178 0.4901
0.1255 0.1229 0.9900
0.1228 0.6213 0.4856
0.1251 0.6282 0.9914
0.6199 0.1179 0.4842
0.6308 0.1216 0.9918
0.6231 0.6193 0.4880
0.6234 0.6183 0.9899
0.1386 0.3786 0.0154
0.1317 0.3774 0.5033
0.1375 0.8812 0.0126
0.1353 0.8792 0.5056
0.6411 0.3790 0.0149
0.6345 0.3811 0.5071
0.6340 0.8779 0.0128
0.6298 0.8731 0.5058
0.3711 0.1150 0.4853
0.3727 0.1202 0.9933
0.3745 0.6198 0.4871
0.3769 0.6272 0.9936
0.8710 0.1161 0.4887
0.8746 0.1194 0.9889
0.8710 0.6175 0.4867
0.8723 0.6158 0.9877
0.3883 0.3856 0.0171
0.3819 0.3777 0.5029
0.3837 0.8822 0.0125
0.3857 0.8809 0.5103
0.8861 0.3797 0.0137
0.8791 0.3834 0.5068
0.8867 0.8835 0.0139
0.8802 0.8757 0.5027
0.0848 0.0952 0.1341
0.0757 0.0789 0.6341
0.0817 0.5962 0.1319
0.0715 0.5855 0.6331
0.5809 0.0960 0.1330
0.5751 0.0842 0.6291
0.5802 0.5943 0.1342
0.5767 0.5892 0.6333
0.4450 0.4087 0.3653
0.4479 0.4125 0.8702
0.4433 0.9058 0.3651
0.4513 0.9106 0.8674
0.9425 0.4138 0.3623
0.9482 0.4042 0.8689
0.9445 0.9099 0.3639
0.9462 0.9047 0.8674
0.3295 0.2914 0.1374
0.3256 0.2931 0.6314
0.3300 0.7922 0.1347
0.3245 0.7951 0.6310
0.8300 0.2905 0.1338
0.8205 0.2985 0.6317
0.8280 0.7854 0.1341
0.8218 0.7938 0.6324
0.1911 0.2049 0.3633
0.1938 0.2059 0.8672
0.1993 0.7128 0.3691
0.1965 0.7110 0.8684
0.6902 0.2112 0.3677
0.6959 0.2119 0.8692
0.6923 0.7072 0.3653
0.6988 0.7143 0.8674
0.4223 0.0702 0.2498
0.4242 0.0644 0.7425
0.4257 0.5729 0.2500
0.4385 0.5788 0.7577
0.9290 0.0608 0.2403
0.9329 0.0689 0.7575
0.9227 0.5716 0.2494
0.9269 0.5791 0.7515
0.1775 0.4224 0.2502
0.1860 0.4417 0.7500
0.1755 0.9242 0.2491
0.1861 0.9315 0.7589
0.6741 0.4249 0.2497
0.6824 0.4392 0.7590
0.6795 0.9255 0.2502
0.6770 0.9210 0.7506
```

=====

## Li9Mn2Co5O16 (PBE with a Hubbard U)

Data for a relaxed structure of Li9Mn2Co5O16.

Results
V (Å³ per atom): 8.9
Raw total energy (eV/atom): -5.827
Energy relative to the elements (meV per atom): -1837

```
Li9Mn2Co5O16
1.0
5.0003 0.0000 0.0000
-1.6719 7.5936 0.0000
-1.6045 -1.4561 7.4925
Li Mn Co O
9 2 5 16
direct
0.4880 0.7442 0.7393
0.0148 0.3823 0.1321
0.5019 0.9957 0.4961
0.9774 0.8687 0.6131
0.4968 0.5034 0.0055
0.9937 0.1268 0.3773
0.0077 0.6213 0.8751
0.5077 0.2615 0.2578
0.4973 0.6262 0.3709
0.0008 0.9953 0.0038
0.9996 0.7459 0.2539
0.0018 0.2551 0.7446
0.5009 0.8724 0.1285
0.0074 0.5008 0.4920
0.5032 0.1264 0.8756
0.5089 0.3881 0.6187
0.7602 0.7663 0.0189
0.2388 0.3770 0.3860
0.7589 0.0018 0.7713
0.2554 0.8859 0.8973
0.7738 0.5175 0.2500
0.2530 0.1393 0.6390
0.2492 0.6489 0.1321
0.7510 0.2543 0.5058
0.2213 0.7507 0.4836
0.7536 0.3585 0.8678
0.2413 0.9812 0.2330
0.7511 0.8691 0.3513
0.2435 0.4958 0.7437
0.7489 0.1025 0.1150
0.7475 0.6097 0.6232
0.2446 0.2274 0.9976
```

=====

- Number 2 is which compound?
  Li9Mn2Co5O16

=====

- Which value of V does entry 2 give?
  8.9 Å³ per atom

=====

- Among the records above, which one has the highest V?
  Sr2Ca6Mn7FeO20